DFT (PBE) results for an optimized crystal structure of Cs2HgPdCl6.

Cell: 7.7474 7.7474 7.7474 Å, 121.00 121.00 88.27°
With the nearest neighbours (Å) after each atom.
Sites, in units of the cell vectors:
Cs: 0.2500 0.7500 0.5000  12 Cl 3.84-3.89
Cs: 0.7500 0.2500 0.5000  12 Cl 3.84-3.89
Hg: 0.0000 0.0000 0.0000  2 Cl 2.36
Pd: 0.5000 0.5000 0.0000  4 Cl 2.34
Cl: 0.2126 0.2126 0.0000  1 Hg 2.36
Cl: 0.2828 0.2828 0.5655  1 Pd 2.34
Cl: 0.2828 0.7172 0.0000  1 Pd 2.34
Cl: 0.7172 0.2828 0.0000  1 Pd 2.34
Cl: 0.7172 0.7172 0.4345  1 Pd 2.34
Cl: 0.7874 0.7874 0.0000  1 Hg 2.36

## Properties
E (eV for the cell shown): -29.973